## Na8NbAl3Si5SO24 (GGA-PBE)

Data for crystalline Na8NbAl3Si5SO24 at its relaxed geometry.

Values from the calculation:
ΔE_f, eV/atom: -2.81
Energy, eV/f.u.: -283.6
SG: No. 1

Lattice parameters (Å, degrees): 8.901 8.900 21.810 89.75 89.94 120.08
Element x y z (fractional)
1 Si 0.330 0.386 0.415
2 Si 0.290 0.000 0.250
3 Si 0.627 0.951 0.415
4 Si 0.287 0.278 0.748
5 Si 0.370 0.337 0.087
6 Si 0.666 0.634 0.586
7 Si 0.960 0.624 0.089
8 Si 0.961 0.332 0.588
9 Si 0.668 0.034 0.087
10 Si 0.992 0.713 0.748
11 Si 0.050 0.670 0.416
12 Si 0.376 0.038 0.588
13 Si 0.330 0.953 0.919
14 Si 0.042 0.367 0.921
15 Si 0.628 0.676 0.919
16 Na 0.663 0.700 0.082
17 Na 0.000 0.001 0.502
18 Na 0.622 0.999 0.252
19 Na 0.300 0.961 0.084
20 Na 0.636 0.623 0.747
21 Na 0.665 0.964 0.580
22 Na 0.332 0.672 0.164
23 Na 0.360 0.005 0.745
24 Na 0.969 0.672 0.915
25 Na 0.037 0.336 0.082
26 Na 0.972 0.302 0.419
27 Na 0.701 0.028 0.917
28 Na 0.327 0.297 0.915
29 Na 0.367 0.361 0.253
30 Na 0.008 0.640 0.250
31 Na 0.665 0.339 0.830
32 Na 0.037 0.702 0.583
33 Na 0.329 0.663 0.659
34 Na 0.997 0.366 0.743
35 Na 0.660 0.328 0.335
36 Na 0.331 0.029 0.417
37 Na 0.999 0.999 0.000
38 Na 0.699 0.671 0.419
39 Na 0.299 0.337 0.583
40 O 0.505 0.133 0.645
41 O 0.833 0.537 0.027
42 O 0.834 0.296 0.526
43 O 0.822 0.978 0.404
44 O 0.163 0.965 0.190
45 O 0.968 0.177 0.305
46 O 0.646 0.147 0.421
47 O 0.160 0.190 0.409
48 O 0.820 0.028 0.806
49 O 0.159 0.199 0.690
50 O 0.971 0.812 0.091
51 O 0.359 0.850 0.578
52 O 0.491 0.644 0.577
53 O 0.488 0.178 0.243
54 O 0.844 0.021 0.095
55 O 0.819 0.845 0.909
56 O 0.018 0.178 0.908
57 O 0.459 0.294 0.026
58 O 0.297 0.469 0.475
59 O 0.035 0.841 0.690
60 O 0.535 0.689 0.253
61 O 0.148 0.641 0.078
62 O 0.627 0.503 0.644
63 O 0.643 0.497 0.922
64 O 0.844 0.310 0.245
65 O 0.181 0.161 0.092
66 O 0.853 0.496 0.420
67 O 0.692 0.156 0.746
68 O 0.706 0.542 0.526
69 O 0.188 0.027 0.589
70 O 0.149 0.506 0.578
71 O 0.972 0.155 0.592
72 O 0.536 0.843 0.754
73 O 0.172 0.706 0.476
74 O 0.124 0.625 0.355
75 O 0.501 0.633 0.857
76 O 0.852 0.357 0.921
77 O 0.159 0.462 0.253
78 O 0.372 0.871 0.857
79 O 0.173 0.696 0.755
80 O 0.356 0.510 0.077
81 O 0.793 0.823 0.194
82 O 0.791 0.970 0.696
83 O 0.020 0.837 0.408
84 O 0.505 0.875 0.355
85 O 0.540 0.831 0.475
86 O 0.484 0.304 0.744
87 O 0.025 0.205 0.194
88 O 0.860 0.492 0.146
89 O 0.501 0.376 0.144
90 O 0.314 0.481 0.755
91 O 0.161 0.975 0.912
92 O 0.198 0.167 0.811
93 O 0.297 0.828 0.977
94 O 0.630 0.128 0.144
95 O 0.505 0.147 0.921
96 O 0.464 0.166 0.526
97 O 0.503 0.360 0.420
98 O 0.963 0.798 0.810
99 O 0.709 0.165 0.026
100 O 0.169 0.463 0.977
101 O 0.820 0.793 0.304
102 O 0.828 0.513 0.744
103 O 0.535 0.704 0.977
104 O 0.311 0.823 0.256
105 O 0.841 0.822 0.593
106 O 0.494 0.849 0.077
107 O 0.367 0.508 0.353
108 O 0.197 0.035 0.309
109 O 0.864 0.366 0.645
110 O 0.697 0.537 0.245
111 O 0.126 0.497 0.859
112 Nb 0.322 0.657 0.814
113 Nb 0.666 0.333 0.983
114 Nb 0.667 0.334 0.481
115 Al 0.018 0.005 0.642
116 Al 0.334 0.667 0.519
117 Al 0.649 0.318 0.178
118 Al 0.334 0.667 0.021
119 Al 0.019 0.006 0.360
120 Al 0.665 0.345 0.681
121 Al 0.331 0.682 0.324
122 Al 0.013 0.995 0.855
123 Al 0.011 0.994 0.142
124 S 0.712 0.712 0.249
125 S 0.000 0.288 0.249
126 S 0.716 0.002 0.750

***

## Y3Tm (GGA-PBE)

Data for crystalline Y3Tm at its relaxed geometry.

Values from the calculation:
ΔE_f, eV/atom: 0.01
Energy, eV/f.u.: -23.9
SG: No. 194

Lattice parameters (Å, degrees): 7.244 7.244 5.722 90.00 90.00 120.00
Element x y z (fractional)
1 Y 0.832 0.168 0.750
2 Y 0.832 0.665 0.750
3 Y 0.168 0.335 0.250
4 Y 0.665 0.832 0.250
5 Y 0.335 0.168 0.750
6 Y 0.168 0.832 0.250
7 Tm 0.333 0.667 0.750
8 Tm 0.667 0.333 0.250

***

## Nb4Si7Ni4 (GGA-PBE)

Data for crystalline Nb4Si7Ni4 at its relaxed geometry.

Values from the calculation:
ΔE_f, eV/atom: -0.64
Energy, eV/f.u.: -111.1
SG: No. 139

Lattice parameters (Å, degrees): 9.290 9.290 9.290 94.19 94.19 148.63
Element x y z (fractional)
1 Si 0.907 0.500 0.407
2 Si 0.500 0.093 0.593
3 Si 0.500 0.907 0.407
4 Si 0.708 0.000 0.708
5 Si 0.000 0.292 0.292
6 Si 0.708 0.292 0.000
7 Si 0.000 0.708 0.708
8 Si 0.292 0.292 0.585
9 Si 0.292 0.708 0.000
10 Si 0.751 0.751 0.000
11 Si 0.708 0.708 0.415
12 Si 0.292 0.000 0.292
13 Si 0.249 0.249 0.000
14 Si 0.093 0.500 0.593
15 Ni 0.102 0.602 0.204
16 Ni 0.898 0.398 0.796
17 Ni 0.398 0.602 0.500
18 Ni 0.102 0.898 0.500
19 Ni 0.602 0.102 0.204
20 Ni 0.398 0.898 0.796
21 Ni 0.602 0.398 0.500
22 Ni 0.898 0.102 0.500
23 Nb 0.135 0.865 0.000
24 Nb 0.309 0.500 0.809
25 Nb 0.500 0.691 0.191
26 Nb 0.691 0.500 0.191
27 Nb 0.865 0.865 0.731
28 Nb 0.500 0.309 0.809
29 Nb 0.865 0.135 0.000
30 Nb 0.135 0.135 0.269

***

## TiPO4F (GGA-PBE)

Data for crystalline TiPO4F at its relaxed geometry.

Values from the calculation:
ΔE_f, eV/atom: -3.16
Energy, eV/f.u.: -53.9
SG: No. 2

Lattice parameters (Å, degrees): 5.246 5.247 7.451 107.04 109.40 95.77
Element x y z (fractional)
1 O 0.810 0.262 0.112
2 O 0.141 0.259 0.901
3 O 0.184 0.647 0.395
4 O 0.816 0.353 0.605
5 O 0.679 0.632 0.345
6 O 0.859 0.741 0.099
7 O 0.321 0.368 0.655
8 O 0.190 0.738 0.888
9 Ti 0.500 0.500 0.500
10 Ti 0.000 0.000 0.000
11 F 0.681 0.841 0.737
12 F 0.319 0.159 0.263
13 P 0.882 0.570 0.238
14 P 0.118 0.430 0.762

***

## MgSb2PbO6 (GGA-PBE)

Data for crystalline MgSb2PbO6 at its relaxed geometry.

Values from the calculation:
ΔE_f, eV/atom: -1.89
Energy, eV/f.u.: -58.0
SG: No. 5

Lattice parameters (Å, degrees): 5.732 5.718 5.429 89.99 90.02 120.08
Element x y z (fractional)
1 O 0.955 0.359 0.268
2 O 0.641 0.597 0.267
3 O 0.404 0.044 0.268
4 O 0.956 0.597 0.733
5 O 0.404 0.359 0.732
6 O 0.640 0.044 0.732
7 Pb 0.999 0.997 0.000
8 Sb 0.667 0.334 0.500
9 Sb 0.333 0.666 0.500
10 Mg 0.665 0.329 0.000

***

## PdCl2 (GGA-PBE)

Data for crystalline PdCl2 at its relaxed geometry.

Values from the calculation:
ΔE_f, eV/atom: -0.88
Energy, eV/f.u.: -10.3
SG: No. 14

Lattice parameters (Å, degrees): 4.280 5.790 6.467 73.03 90.00 90.00
Element x y z (fractional)
1 Cl 0.256 0.235 0.191
2 Cl 0.756 0.765 0.309
3 Cl 0.744 0.765 0.809
4 Cl 0.244 0.235 0.691
5 Pd 0.000 0.000 0.500
6 Pd 0.500 0.000 0.000